A relaxed structure of Na4Al2Si2SO12, computed with GGA-PBE.

a b c (Å): 8.757 8.757 21.612
angles (deg): 89.79 90.21 119.43
Fractional positions:
O1 0.496 0.123 0.643
O2 0.207 0.028 0.306
O3 0.210 0.170 0.810
O4 0.465 0.152 0.245
O5 0.877 0.504 0.143
O6 0.367 0.517 0.077
O7 0.016 0.178 0.912
O8 0.496 0.868 0.356
O9 0.830 0.032 0.087
O10 0.644 0.158 0.424
O11 0.483 0.633 0.577
O12 0.503 0.361 0.144
O13 0.513 0.641 0.861
O14 0.838 0.818 0.590
O15 0.515 0.869 0.078
O16 0.359 0.487 0.361
O17 0.972 0.164 0.311
O18 0.150 0.967 0.910
O19 0.972 0.793 0.806
O20 0.179 0.974 0.194
O21 0.977 0.824 0.091
O22 0.172 0.485 0.256
O23 0.306 0.460 0.473
O24 0.509 0.690 0.257
O25 0.822 0.984 0.412
O26 0.842 0.356 0.924
O27 0.131 0.485 0.578
O28 0.968 0.170 0.587
O29 0.163 0.699 0.753
O30 0.488 0.317 0.745
O31 0.350 0.845 0.579
O32 0.836 0.028 0.811
O33 0.639 0.497 0.644
O34 0.155 0.650 0.079
O35 0.301 0.837 0.253
O36 0.033 0.850 0.410
O37 0.801 0.965 0.689
O38 0.683 0.512 0.245
O39 0.701 0.532 0.522
O40 0.639 0.127 0.139
O41 0.798 0.818 0.912
O42 0.515 0.828 0.756
O43 0.700 0.183 0.743
O44 0.830 0.790 0.310
O45 0.035 0.199 0.189
O46 0.465 0.170 0.523
O47 0.182 0.162 0.090
O48 0.693 0.154 0.027
O49 0.368 0.866 0.856
O50 0.134 0.632 0.356
O51 0.163 0.201 0.689
O52 0.163 0.457 0.977
O53 0.310 0.491 0.757
O54 0.830 0.535 0.023
O55 0.182 0.202 0.412
O56 0.496 0.365 0.420
O57 0.799 0.837 0.189
O58 0.505 0.152 0.923
O59 0.873 0.361 0.639
O60 0.540 0.694 0.973
O61 0.817 0.300 0.243
O62 0.635 0.504 0.920
O63 0.305 0.831 0.977
O64 0.132 0.504 0.856
O65 0.169 0.695 0.477
O66 0.176 0.023 0.591
O67 0.468 0.299 0.022
O68 0.846 0.307 0.527
O69 0.026 0.821 0.694
O70 0.848 0.495 0.423
O71 0.543 0.837 0.477
O72 0.848 0.535 0.745
S1 0.001 0.714 0.750
S2 0.334 0.380 0.417
S3 0.620 0.666 0.917
S4 0.953 0.332 0.584
S5 0.668 0.047 0.084
S6 0.286 0.999 0.250
Na1 0.659 0.317 0.833
Na2 0.960 0.300 0.409
Na3 0.992 0.984 0.500
Na4 0.310 0.332 0.588
Na5 0.367 0.374 0.242
Na6 0.293 0.967 0.076
Na7 0.993 0.624 0.254
Na8 0.683 0.341 0.333
Na9 0.335 0.024 0.421
Na10 0.668 0.690 0.088
Na11 0.376 0.007 0.754
Na12 0.326 0.290 0.921
Na13 0.643 0.999 0.254
Na14 0.001 0.357 0.754
Na15 0.033 0.707 0.576
Na16 0.700 0.040 0.909
Na17 0.326 0.651 0.167
Na18 0.043 0.340 0.088
Na19 0.016 0.008 0.000
Na20 0.976 0.665 0.921
Na21 0.660 0.957 0.588
Na22 0.626 0.633 0.742
Na23 0.710 0.674 0.421
Na24 0.349 0.674 0.667
Al1 0.998 0.001 0.647
Al2 0.352 0.694 0.520
Al3 0.973 0.981 0.353
Al4 0.666 0.335 0.481
Al5 0.640 0.315 0.686
Al6 0.665 0.334 0.981
Al7 0.306 0.648 0.020
Al8 0.331 0.668 0.314
Al9 0.019 0.027 0.853
Al10 0.685 0.360 0.186
Al11 0.999 0.002 0.147
Al12 0.332 0.669 0.814
Si1 0.706 0.710 0.249
Si2 0.046 0.668 0.416
Si3 0.623 0.960 0.416
Si4 0.040 0.377 0.916
Si5 0.290 0.294 0.749
Si6 0.332 0.954 0.916
Si7 0.666 0.621 0.583
Si8 0.379 0.334 0.083
Si9 0.999 0.287 0.250
Si10 0.373 0.043 0.583
Si11 0.713 0.001 0.750
Si12 0.957 0.627 0.083

* E_tot: -0.23786 Ha/atom
* spin magnetization: 0.00 μB/f.u.

A relaxed structure of In2Se3, computed with GGA-PBE.

a b c (Å): 4.135 4.135 25.851
angles (deg): 90.00 90.00 120.00
Fractional positions:
In1 0.000 0.000 0.208
In2 0.000 0.000 0.792
In3 0.333 0.667 0.459
In4 0.333 0.667 0.874
In5 0.667 0.333 0.126
In6 0.667 0.333 0.541
Se1 0.000 0.000 0.000
Se2 0.000 0.000 0.399
Se3 0.000 0.000 0.601
Se4 0.333 0.667 0.065
Se5 0.333 0.667 0.268
Se6 0.333 0.667 0.667
Se7 0.667 0.333 0.333
Se8 0.667 0.333 0.732
Se9 0.667 0.333 0.935

* E_tot: -0.11710 Ha/atom
* space group: No. 166
* spin magnetization: 0.06 μB/f.u.

A relaxed structure of Na5Nb2Zn2SiP5O24, computed with GGA-PBE.

a b c (Å): 8.933 8.984 22.351
angles (deg): 89.69 89.82 60.33
Fractional positions:
Na1 0.000 0.000 0.000
Na2 0.007 0.626 0.752
Na3 0.027 0.620 0.245
Na4 0.035 0.290 0.164
Na5 0.070 0.906 0.661
Na6 0.305 0.294 0.663
Na7 0.348 0.957 0.576
Na8 0.366 0.948 0.082
Na9 0.377 0.642 0.491
Na10 0.394 0.268 0.002
Na11 0.648 0.979 0.490
Na12 0.670 0.603 0.998
Na13 0.685 0.304 0.399
Na14 0.692 0.291 0.918
Na15 0.985 0.973 0.323
Nb1 0.019 0.622 0.392
Nb2 0.026 0.619 0.098
Nb3 0.351 0.961 0.927
Nb4 0.359 0.958 0.227
Nb5 0.687 0.294 0.770
Nb6 0.693 0.288 0.556
Zn1 0.017 0.621 0.892
Zn2 0.017 0.626 0.596
Zn3 0.340 0.965 0.428
Zn4 0.362 0.950 0.728
Zn5 0.671 0.303 0.259
Zn6 0.686 0.289 0.068
Si1 0.015 0.330 0.993
Si2 0.026 0.915 0.499
Si3 0.400 0.291 0.161
P1 0.057 0.252 0.329
P2 0.061 0.952 0.824
P3 0.310 0.331 0.499
P4 0.311 0.626 0.991
P5 0.348 0.255 0.823
P6 0.359 0.661 0.332
P7 0.400 0.581 0.662
P8 0.647 0.957 0.334
P9 0.648 0.667 0.826
P10 0.685 0.002 0.663
P11 0.685 0.587 0.161
P12 0.731 0.624 0.497
P13 0.731 0.913 0.992
P14 0.976 0.295 0.663
P15 0.984 0.992 0.164
O1 0.007 0.809 0.153
O2 0.034 0.803 0.834
O3 0.050 0.431 0.334
O4 0.053 0.421 0.053
O5 0.053 0.804 0.558
O6 0.140 0.140 0.383
O7 0.148 0.126 0.662
O8 0.157 0.981 0.881
O9 0.161 0.938 0.767
O10 0.172 0.968 0.172
O11 0.173 0.163 0.272
O12 0.181 0.656 0.335
O13 0.192 0.658 0.049
O14 0.192 0.936 0.490
O15 0.194 0.457 0.154
O16 0.200 0.139 0.988
O17 0.201 0.431 0.833
O18 0.211 0.406 0.557
O19 0.214 0.456 0.444
O20 0.227 0.583 0.663
O21 0.227 0.598 0.938
O22 0.322 0.797 0.989
O23 0.325 0.788 0.278
O24 0.331 0.170 0.767
O25 0.353 0.147 0.490
O26 0.361 0.124 0.171
O27 0.373 0.741 0.390
O28 0.378 0.130 0.880
O29 0.380 0.759 0.663
O30 0.471 0.329 0.220
O31 0.489 0.331 0.500
O32 0.493 0.474 0.000
O33 0.495 0.254 0.097
O34 0.505 0.462 0.716
O35 0.510 0.484 0.605
O36 0.511 0.484 0.324
O37 0.515 0.002 0.663
O38 0.525 0.257 0.822
O39 0.527 0.770 0.173
O40 0.529 0.755 0.884
O41 0.548 0.922 0.988
O42 0.548 0.938 0.278
O43 0.548 0.974 0.390
O44 0.551 0.776 0.489
O45 0.558 0.772 0.771
O46 0.651 0.524 0.102
O47 0.655 0.486 0.823
O48 0.669 0.117 0.606
O49 0.687 0.102 0.326
O50 0.697 0.096 0.999
O51 0.702 0.107 0.717
O52 0.713 0.458 0.501
O53 0.736 0.465 0.213
O54 0.812 0.652 0.552
O55 0.817 0.796 0.048
O56 0.827 0.639 0.833
O57 0.829 0.783 0.334
O58 0.840 0.103 0.501
O59 0.843 0.835 0.938
O60 0.847 0.615 0.153
O61 0.850 0.592 0.440
O62 0.851 0.832 0.662
O63 0.856 0.296 0.003
O64 0.862 0.307 0.718
O65 0.873 0.278 0.607
O66 0.879 0.271 0.320
O67 0.881 0.127 0.823
O68 0.882 0.066 0.220
O69 0.919 0.104 0.107
O70 0.980 0.454 0.938
O71 0.988 0.818 0.439
O72 0.994 0.453 0.660

* E_tot: -0.25196 Ha/atom
* space group: No. 1
* spin magnetization: 0.00 μB/f.u.

A relaxed structure of SrP2H2O8, computed with GGA-PBE.

a b c (Å): 6.870 7.115 7.938
angles (deg): 103.07 98.04 109.12
Fractional positions:
Sr1 0.233 0.217 0.403
Sr2 0.767 0.783 0.597
P1 0.214 0.300 0.920
P2 0.267 0.779 0.591
P3 0.733 0.221 0.409
P4 0.786 0.700 0.080
H1 0.137 0.614 0.794
H2 0.469 0.096 0.761
H3 0.531 0.904 0.239
H4 0.863 0.386 0.206
O1 0.019 0.095 0.867
O2 0.110 0.700 0.712
O3 0.142 0.867 0.479
O4 0.148 0.487 0.919
O5 0.326 0.329 0.112
O6 0.345 0.614 0.503
O7 0.350 0.281 0.782
O8 0.483 0.960 0.715
O9 0.517 0.040 0.285
O10 0.650 0.719 0.218
O11 0.655 0.386 0.497
O12 0.674 0.671 0.888
O13 0.852 0.513 0.081
O14 0.858 0.133 0.521
O15 0.890 0.300 0.288
O16 0.981 0.905 0.133

* E_tot: -0.23429 Ha/atom
* space group: No. 2
* spin magnetization: 2.00 μB/f.u.

A relaxed structure of SmGa3Pd, computed with GGA-PBE.

a b c (Å): 4.203 4.203 10.860
angles (deg): 90.00 90.00 90.00
Fractional positions:
Sm1 0.000 0.000 0.000
Sm2 0.500 0.500 0.500
Ga1 0.000 0.000 0.386
Ga2 0.000 0.000 0.614
Ga3 0.000 0.500 0.250
Ga4 0.500 0.000 0.750
Ga5 0.500 0.500 0.114
Ga6 0.500 0.500 0.886
Pd1 0.000 0.500 0.750
Pd2 0.500 0.000 0.250

* E_tot: -0.16447 Ha/atom
* space group: No. 119

A relaxed structure of VCu3Te2Se2, computed with GGA-PBE.

a b c (Å): 8.055 8.267 5.760
angles (deg): 90.00 90.00 90.00
Fractional positions:
V1 0.000 0.000 0.000
V2 0.500 0.500 0.000
Cu1 0.000 0.000 0.512
Cu2 0.250 0.250 0.993
Cu3 0.250 0.750 0.993
Cu4 0.500 0.500 0.512
Cu5 0.750 0.250 0.993
Cu6 0.750 0.750 0.993
Te1 0.239 0.500 0.258
Te2 0.261 0.000 0.258
Te3 0.739 0.000 0.258
Te4 0.761 0.500 0.258
Se1 0.000 0.234 0.764
Se2 0.000 0.766 0.764
Se3 0.500 0.266 0.764
Se4 0.500 0.734 0.764

* E_tot: -0.17254 Ha/atom
* space group: No. 35
* spin magnetization: 0.00 μB/f.u.

A relaxed structure of NaB15, computed with GGA-PBE.

a b c (Å): 7.265 7.265 7.265
angles (deg): 132.54 89.71 109.21
Fractional positions:
Na1 0.411 0.161 0.250
Na2 0.589 0.839 0.750
B1 0.003 0.753 0.250
B2 0.039 0.894 0.145
B3 0.044 0.216 0.333
B4 0.044 0.711 0.829
B5 0.052 0.653 0.399
B6 0.211 0.546 0.665
B7 0.213 0.505 0.387
B8 0.213 0.826 0.709
B9 0.246 0.347 0.899
B10 0.249 0.894 0.355
B11 0.381 0.546 0.835
B12 0.382 0.174 0.887
B13 0.382 0.216 0.671
B14 0.382 0.495 0.209
B15 0.382 0.711 0.167
B16 0.618 0.289 0.833
B17 0.618 0.505 0.791
B18 0.618 0.784 0.329
B19 0.618 0.826 0.113
B20 0.619 0.454 0.165
B21 0.751 0.106 0.645
B22 0.754 0.653 0.101
B23 0.787 0.174 0.291
B24 0.787 0.495 0.613
B25 0.789 0.454 0.335
B26 0.948 0.347 0.601
B27 0.956 0.289 0.171
B28 0.956 0.784 0.667
B29 0.961 0.106 0.855
B30 0.997 0.247 0.750

* E_tot: -0.23500 Ha/atom
* space group: No. 74